Record 1
## BaS2O8 (PBE-GGA)

Data for a geometry-optimized BaS2O8 structure.

```
22
Lattice="5.989 -3.386 0.000 5.989 3.386 0.000 -4.188 0.000 10.003" Properties=species:S:1:pos:R:3 pbc="T T T"
Ba 2.848 1.797 7.502
Ba 4.942 -1.797 2.501
S 2.396 0.806 0.333
S 0.301 -0.806 5.335
S 7.488 0.806 4.668
S 5.394 -0.806 9.670
O 0.314 2.083 8.632
O -2.477 0.397 9.100
O -0.383 -0.397 4.098
O 1.274 0.175 5.826
O 3.368 -0.175 0.824
O 5.381 2.083 6.373
O 3.768 0.419 4.568
O 6.116 0.419 0.434
O 1.673 -0.419 9.570
O 4.022 -0.419 5.435
O 2.408 -2.083 3.631
O 4.421 0.175 9.179
O 6.516 -0.175 4.177
O 8.172 0.397 5.905
O 10.266 -0.397 0.903
O 7.475 -2.083 1.371
```

Results
crystal system	monoclinic
symmetry	C2/c (15)
size of the total moment	0.182	μB/atom


Record 2
## BaS2O4 (PBE-GGA)

Data for a geometry-optimized BaS2O4 structure.

```
56
Lattice="18.248 0.000 0.000 0.000 7.600 0.000 0.000 0.000 7.678" Properties=species:S:1:pos:R:3 pbc="T T T"
Ba 2.662 1.547 0.090
Ba 2.662 6.053 3.929
Ba 6.462 2.253 3.929
Ba 6.462 5.347 0.090
Ba 11.785 2.253 7.588
Ba 11.785 5.347 3.749
Ba 15.586 1.547 3.749
Ba 15.586 6.053 7.588
S 0.877 2.689 4.499
S 0.877 4.911 0.660
S 2.851 2.099 3.955
S 2.851 5.501 0.116
S 6.273 1.701 0.116
S 6.273 5.899 3.955
S 8.247 1.111 0.660
S 8.247 6.489 4.499
S 10.001 1.111 3.179
S 10.001 6.489 7.019
S 11.974 1.701 3.723
S 11.974 5.899 7.562
S 15.397 2.099 7.562
S 15.397 5.501 3.723
S 17.371 2.689 7.019
S 17.371 4.911 3.179
O 0.080 1.700 0.064
O 0.080 5.900 3.903
O 2.747 1.100 2.853
O 2.747 6.499 6.692
O 3.557 1.472 5.118
O 3.557 6.127 1.279
O 3.569 3.333 3.543
O 3.569 4.267 7.382
O 5.554 0.467 7.382
O 5.554 7.133 3.543
O 5.567 2.328 1.279
O 5.567 5.272 5.118
O 6.377 2.700 6.692
O 6.377 4.900 2.853
O 9.044 2.100 3.903
O 9.044 5.500 0.064
O 9.204 2.100 7.614
O 9.204 5.500 3.775
O 11.871 2.700 4.825
O 11.871 4.900 0.986
O 12.681 2.328 2.560
O 12.681 5.272 6.399
O 12.693 0.467 4.135
O 12.693 7.133 0.296
O 14.678 3.333 0.296
O 14.678 4.267 4.135
O 14.691 1.472 6.399
O 14.691 6.127 2.560
O 15.501 1.100 0.986
O 15.501 6.499 4.825
O 18.168 1.700 3.775
O 18.168 5.900 7.614
```

Results
crystal system	orthorhombic
symmetry	Pbcn (60)
size of the total moment	0.000	μB/atom


Record 3
## BaSO4 (PBE-GGA)

Data for a geometry-optimized BaSO4 structure.

```
24
Lattice="9.018 0.000 0.000 0.000 5.557 0.000 0.000 0.000 7.277" Properties=species:S:1:pos:R:3 pbc="T T T"
Ba 1.675 1.389 1.140
Ba 2.834 4.168 4.778
Ba 6.184 1.389 2.499
Ba 7.343 4.168 6.137
S 0.557 1.389 5.024
S 3.953 4.168 1.385
S 5.066 1.389 5.892
S 8.462 4.168 2.253
O 0.722 0.174 5.897
O 0.722 2.605 5.897
O 0.796 4.168 2.845
O 1.634 1.389 3.995
O 2.875 4.168 0.356
O 3.713 1.389 6.484
O 3.787 2.952 2.258
O 3.787 5.383 2.258
O 5.231 0.174 5.019
O 5.231 2.605 5.019
O 5.305 4.168 0.793
O 6.143 1.389 6.921
O 7.385 4.168 3.282
O 8.222 1.389 4.432
O 8.296 2.952 1.380
O 8.296 5.383 1.380
```

Results
crystal system	orthorhombic
symmetry	Pnma (62)


Record 4
## BaSO4 (PBE-GGA)

Data for a geometry-optimized BaSO4 structure.

```
24
Lattice="6.285 0.000 0.000 0.000 7.076 0.000 0.000 0.000 8.007" Properties=species:S:1:pos:R:3 pbc="T T T"
Ba 1.375 0.590 2.925
Ba 1.768 6.486 6.928
Ba 4.517 2.948 5.082
Ba 4.911 4.128 1.079
S 1.532 2.931 7.022
S 1.610 4.145 3.019
S 4.675 0.607 0.985
S 4.753 6.469 4.988
O 0.335 3.816 6.786
O 0.434 3.243 3.253
O 1.266 2.040 0.165
O 1.322 4.964 1.803
O 1.821 2.112 5.806
O 1.877 5.036 4.168
O 2.708 3.833 7.257
O 2.807 3.259 2.782
O 3.478 6.797 1.221
O 3.577 0.295 4.754
O 4.409 1.498 7.842
O 4.465 5.650 6.204
O 4.963 1.426 2.201
O 5.019 5.578 3.839
O 5.851 6.781 0.750
O 5.950 0.279 5.225
```

Results
crystal system	orthorhombic
symmetry	P2_12_12_1 (19)
size of the total moment	0.000	μB/atom


Record 5
## BaSO4 (PBE-GGA)

Data for a geometry-optimized BaSO4 structure.

```
6
Lattice="0.000 3.699 3.699 3.699 0.000 3.699 3.699 3.699 0.000" Properties=species:S:1:pos:R:3 pbc="T T T"
Ba 0.000 0.000 0.000
S 3.699 3.699 3.699
O 4.560 2.838 2.838
O 2.838 4.560 2.838
O 2.838 2.838 4.560
O 4.560 4.560 4.560
```

Results
crystal system	cubic
symmetry	F-43m (216)
size of the total moment	0.000	μB/atom


Record 6
## BaS5O8 (PBE-GGA)

Data for a geometry-optimized BaS5O8 structure.

```
28
Lattice="5.374 0.000 0.000 0.113 10.516 0.000 1.530 3.651 10.984" Properties=species:S:1:pos:R:3 pbc="T T T"
Ba 1.501 2.610 1.110
Ba 5.516 11.557 9.875
S 1.490 6.329 7.082
S 2.592 3.810 8.955
S 2.661 8.777 8.978
S 2.662 7.987 6.937
S 2.671 4.679 6.941
S 4.346 9.487 4.043
S 4.355 6.180 4.047
S 4.357 5.390 2.006
S 4.425 10.357 2.030
S 5.527 7.837 3.902
O 0.388 5.155 1.678
O 0.464 10.549 1.709
O 1.090 2.723 4.038
O 2.868 11.560 10.800
O 3.300 4.745 9.816
O 3.336 7.799 9.814
O 3.431 13.071 8.689
O 3.422 10.017 8.736
O 3.595 4.150 2.249
O 3.586 1.095 2.296
O 3.681 6.368 1.171
O 3.717 9.422 1.168
O 4.149 2.607 0.184
O 5.928 11.444 6.946
O 6.554 3.618 9.275
O 6.629 9.011 9.307
```

Results
crystal system	triclinic
symmetry	P-1 (2)
size of the total moment	0.286	μB/atom


Record 7
## BaS4O8 (PBE-GGA)

Data for a geometry-optimized BaS4O8 structure.

```
52
Lattice="5.565 0.000 0.000 0.000 9.391 0.000 -1.974 0.000 19.796" Properties=species:S:1:pos:R:3 pbc="T T T"
Ba 1.100 0.969 2.730
Ba 0.113 3.727 12.627
Ba 3.479 5.664 7.168
Ba 2.492 8.422 17.066
S 0.656 5.155 2.336
S -0.331 8.932 12.234
S 0.608 6.496 4.265
S -0.379 7.590 14.163
S 0.727 6.723 9.902
S 1.714 7.363 0.004
S 2.404 5.860 1.431
S 1.417 8.227 11.329
S 2.174 1.164 8.467
S 1.188 3.531 18.364
S 1.877 2.028 19.792
S 2.864 2.668 9.894
S 3.970 1.801 5.633
S 2.984 2.895 15.531
S 3.922 0.460 7.562
S 2.936 4.236 17.460
O -0.194 1.683 5.227
O -1.181 3.013 15.125
O -1.128 6.712 18.822
O -0.141 7.375 8.924
O 0.062 5.697 10.685
O 1.049 8.389 0.787
O 0.004 0.886 12.779
O 0.991 3.809 2.881
O 0.676 4.947 7.337
O -0.311 9.139 17.235
O 0.046 6.264 13.734
O 1.033 7.822 3.836
O 1.553 5.785 5.141
O 0.567 8.301 15.039
O 2.510 1.700 0.480
O 1.524 2.996 10.378
O 2.068 6.395 9.418
O 1.081 7.691 19.316
O 3.025 1.090 4.757
O 2.038 3.606 14.655
O 2.559 1.569 15.960
O 3.545 3.127 6.062
O 3.903 0.252 2.561
O 2.916 4.444 12.459
O 2.601 5.582 16.915
O 3.588 8.505 7.017
O 2.543 1.002 19.009
O 3.530 3.694 9.111
O 3.733 2.016 10.872
O 4.720 2.679 0.974
O 4.773 6.378 4.671
O 3.786 7.708 14.569
```

Results
crystal system	monoclinic
symmetry	P2_1/c (14)
size of the total moment	0.154	μB/atom


Record 8
## BaS4O8 (PBE-GGA)

Data for a geometry-optimized BaS4O8 structure.

```
52
Lattice="11.256 0.000 0.000 0.000 8.592 0.000 0.000 0.000 10.960" Properties=species:S:1:pos:R:3 pbc="T T T"
Ba 1.721 2.148 1.323
Ba 3.907 6.444 6.803
Ba 7.349 2.148 4.157
Ba 9.536 6.444 9.637
S 0.678 0.283 7.699
S 0.678 4.013 7.699
S 2.313 5.032 10.071
S 2.313 7.856 10.071
S 3.315 0.736 4.591
S 3.315 3.560 4.591
S 4.950 4.579 2.219
S 4.950 8.309 2.219
S 6.306 0.283 8.741
S 6.306 4.013 8.741
S 7.941 5.032 6.369
S 7.941 7.856 6.369
S 8.943 0.736 0.889
S 8.943 3.560 0.889
S 10.578 4.579 3.261
S 10.578 8.309 3.261
O 0.533 0.563 3.174
O 0.533 3.733 3.174
O 0.581 2.148 7.507
O 1.207 0.309 9.677
O 1.207 3.987 9.677
O 1.436 6.444 10.520
O 1.856 4.723 7.167
O 1.856 8.164 7.167
O 3.772 0.428 1.688
O 3.772 3.868 1.688
O 4.192 2.148 5.040
O 4.421 4.605 4.197
O 4.421 8.283 4.197
O 5.047 6.444 2.027
O 5.095 4.859 8.654
O 5.095 8.029 8.654
O 6.161 0.563 2.306
O 6.161 3.733 2.306
O 6.209 2.148 8.932
O 6.835 0.309 6.763
O 6.835 3.987 6.763
O 7.065 6.444 5.920
O 7.485 4.723 9.272
O 7.485 8.164 9.272
O 9.400 0.428 3.792
O 9.400 3.868 3.792
O 9.820 2.148 0.440
O 10.049 4.605 1.283
O 10.049 8.283 1.283
O 10.675 6.444 3.452
O 10.723 4.859 7.786
O 10.723 8.029 7.786
```

Results
crystal system	orthorhombic
symmetry	Pnma (62)
size of the total moment	0.000	μB/atom


Across the entries above, energy takes the values -131.20 -329.98 -157.37 -156.23 -38.55 -145.51 -290.31 -288.43 eV for the cell shown, respectively.
Across the entries above, V takes the values 18.4 19.0 15.2 14.8 16.9 22.2 19.9 20.4 Å³/atom, respectively.